Compound: NiI2O6
Source: Materials Project
Functional: GGA+U
Structure: relaxed

The space group is P2_1/c (No. 14) and the conventional cell measures 6.660, 10.872 and 8.606 Å, with angles of 90.00, 117.56 and 90.00 degrees. The inequivalent atoms are Ni at (0.109, 0.095, 0.414), I at (0.231, 0.083, 0.977), I at (0.361, 0.706, 0.073), O at (0.035, 0.541, 0.343), O at (0.044, 0.218, 0.887), O at (0.148, 0.578, 0.018), O at (0.399, 0.101, 0.858), O at (0.406, 0.109, 0.405) and O at (0.442, 0.717, 0.306).

The calculation puts the magnetization at 8.00 μB per cell. For the distance to the lowest polymorph of the same formula, the calculation gives 0.49 eV per formula unit. The formation energy is -900.4 meV per atom. The value obtained for the total energy is -159.8 eV/cell.